(1)
{
  "formula": "Ce3CoGe2",
  "functional": "GGA-PBE",
  "state": "optimized geometry",
  "spacegroup": "Pnma",
  "magnetic_moment_mub_per_atom": 0.01,
  "mass_density_g_cm3": 7.4,
  "e_form_ev_per_atom": -0.624,
  "cell": [[-3.6536, 0.8645, -1.8170], [-5.3466, -2.0101, 9.7948], [1.2000, 11.3396, 2.9822]],
  "species": ["Ce", "Ce", "Ce", "Ce", "Ce", "Ce", "Ce", "Ce", "Ce", "Ce", "Ce", "Ce", "Co", "Co", "Co", "Co", "Ge", "Ge", "Ge", "Ge", "Ge", "Ge", "Ge", "Ge"],
  "fractional_positions": [[0.2500, 0.3734, 0.0508], [0.7500, 0.6266, 0.9492], [0.7500, 0.8734, 0.4492], [0.2500, 0.1266, 0.5508], [0.2500, 0.7013, 0.2257], [0.7500, 0.2987, 0.7743], [0.7500, 0.2013, 0.2743], [0.2500, 0.7987, 0.7257], [0.2500, 0.4435, 0.3822], [0.7500, 0.5565, 0.6178], [0.7500, 0.9435, 0.1178], [0.2500, 0.0565, 0.8822], [0.2500, 0.1306, 0.1300], [0.7500, 0.8694, 0.8700], [0.7500, 0.6306, 0.3700], [0.2500, 0.3694, 0.6300], [0.2500, 0.6882, 0.4798], [0.7500, 0.3118, 0.5202], [0.7500, 0.1882, 0.0202], [0.2500, 0.8118, 0.9798], [0.2500, 0.9983, 0.3012], [0.7500, 0.0017, 0.6988], [0.7500, 0.4983, 0.1988], [0.2500, 0.5017, 0.8012]]
}

=====

(2)
{
  "formula": "Eu2Zr5Se10",
  "functional": "GGA-PBE",
  "state": "optimized geometry",
  "spacegroup": "P-1",
  "magnetic_moment_mub_per_atom": 0.83,
  "mass_density_g_cm3": 5.6,
  "e_form_ev_per_atom": -1.774,
  "cell": [[-0.0045, 6.5209, -0.0012], [7.5964, -0.0024, -7.4539], [-1.8943, 3.2646, -7.4463]],
  "species": ["Eu", "Eu", "Zr", "Zr", "Zr", "Zr", "Zr", "Se", "Se", "Se", "Se", "Se", "Se", "Se", "Se", "Se", "Se"],
  "fractional_positions": [[0.7930, 0.0876, 0.4123], [0.0070, 0.5124, 0.9877], [0.4000, 0.8000, 0.2000], [0.8023, 0.6021, 0.3996], [0.1919, 0.4009, 0.5987], [0.6081, 0.1991, 0.8013], [0.9977, 0.9979, 0.0004], [0.9795, 0.8414, 0.3812], [0.5725, 0.0439, 0.1784], [0.1769, 0.2453, 0.9782], [0.7700, 0.4444, 0.7811], [0.3822, 0.6480, 0.5726], [0.4178, 0.9520, 0.8274], [0.0300, 0.1556, 0.6189], [0.6231, 0.3547, 0.4218], [0.2275, 0.5561, 0.2216], [0.8205, 0.7586, 0.0188]]
}

=====

(3)
{
  "formula": "GdMgNi4",
  "functional": "GGA-PBE",
  "state": "optimized geometry",
  "spacegroup": "F-43m",
  "mass_density_g_cm3": 8.0,
  "e_form_ev_per_atom": -0.379,
  "cell": [[0.0000, 3.5052, 3.5052], [3.5052, 0.0000, 3.5052], [3.5052, 3.5052, 0.0000]],
  "species": ["Gd", "Mg", "Ni", "Ni", "Ni", "Ni"],
  "fractional_positions": [[0.0000, 0.0000, 0.0000], [0.2500, 0.2500, 0.2500], [0.6238, 0.6238, 0.1286], [0.6238, 0.1286, 0.6238], [0.1286, 0.6238, 0.6238], [0.6238, 0.6238, 0.6238]]
}